(1)
Entry from the Materials Project: a geometry-optimized ZrPb3F10 structure (r²SCAN).

The calculation puts the formation energy at -3.104 eV per atom.

The structure belongs to space group Cmcm (No. 63); the cell edges are 10.531, 12.728 and 6.013 Å and the angles 90.00°, 90.00° and 90.00°. The inequivalent atoms are Zr at (0.000, 0.182, 0.250), Pb at (0.000, 0.389, 0.750), Pb at (0.215, 0.106, 0.750), F at (0.000, 0.101, 0.546), F at (0.121, 0.274, 0.039), F at (0.136, 0.500, 0.000) and F at (0.168, 0.090, 0.250).

***

(2)
Entry from the Materials Project: a geometry-optimized PdF3 structure (r²SCAN).

The calculation puts the formation energy at -1.389 eV per atom.

The structure belongs to space group P321 (No. 150); the cell edges are 5.2030, 5.2030 and 7.2527 Å and the angles 90.00°, 90.00° and 120.00°. The inequivalent atoms are Pd at (0.0000, 0.0000, 0.0000), Pd at (0.3333, 0.6667, 0.6578), F at (0.0000, 0.3729, 0.5000) and F at (0.0627, 0.7230, 0.8160).

***

(3)
Entry from the Materials Project: a geometry-optimized PdF3 structure (r²SCAN).

The calculation puts the formation energy at -1.452 eV per atom.

The structure belongs to space group R-3 (No. 148, hexagonal axes); the cell edges are 4.9975, 4.9975 and 14.1430 Å and the angles 90.00°, 90.00° and 120.00°. The inequivalent atoms are Pd at (0.0000, 0.0000, 0.0000), Pd at (0.0000, 0.0000, 0.5000) and F at (0.0027, 0.3175, 0.4199).

***

(4)
Entry from the Materials Project: a geometry-optimized PdF3 structure (r²SCAN).

The calculation puts the formation energy at -1.437 eV per atom.

The structure belongs to space group R-3c (No. 167, hexagonal axes); the cell edges are 5.0125, 5.0125 and 14.1180 Å and the angles 90.00°, 90.00° and 120.00°. The inequivalent atoms are Pd at (0.0000, 0.0000, 0.0000) and F at (0.0000, 0.3476, 0.2500).

***

(5)
Entry from the Materials Project: a geometry-optimized PdPtF6 structure (r²SCAN).

The calculation puts the formation energy at -1.474 eV per atom.

The structure belongs to space group R-3 (No. 148, hexagonal axes); the cell edges are 5.0379, 5.0379 and 14.2430 Å and the angles 90.00°, 90.00° and 120.00°. The inequivalent atoms are Pd at (0.0000, 0.0000, 0.0000), Pt at (0.0000, 0.0000, 0.5000) and F at (0.0116, 0.6550, 0.0868).

***

(6)
Entry from the Materials Project: a geometry-optimized RbPd2F5 structure (r²SCAN).

The calculation puts the formation energy at -1.841 eV per atom.

The structure belongs to space group Imma (No. 74); the cell edges are 6.295, 7.696 and 10.639 Å and the angles 90.00°, 90.00° and 90.00°. The inequivalent atoms are Rb at (0.000, 0.250, 0.103), Pd at (0.000, 0.000, 0.500), Pd at (0.250, 0.250, 0.750), F at (0.000, 0.250, 0.405) and F at (0.233, 0.069, 0.881).

***

(7)
Entry from the Materials Project: a geometry-optimized Rb3PdF5 structure (r²SCAN).

The calculation puts the formation energy at -2.460 eV per atom.

The structure belongs to space group P4/mbm (No. 127); the cell edges are 7.423, 7.423 and 6.392 Å and the angles 90.00°, 90.00° and 90.00°. The inequivalent atoms are Rb at (0.000, 0.000, 0.000), Rb at (0.173, 0.327, 0.500), Pd at (0.000, 0.500, 0.000), F at (0.000, 0.000, 0.500) and F at (0.135, 0.635, 0.213).

***

(8)
Entry from the Materials Project: a geometry-optimized ZnPdF6 structure (r²SCAN).

The calculation puts the formation energy at -1.866 eV per atom.

The structure belongs to space group R-3 (No. 148, hexagonal axes); the cell edges are 4.9370, 4.9370 and 13.6669 Å and the angles 90.00°, 90.00° and 120.00°. The inequivalent atoms are Zn at (0.0000, 0.0000, 0.0000), Pd at (0.0000, 0.0000, 0.5000) and F at (0.0104, 0.3566, 0.2487).

***

(9)
Entry from the Materials Project: a geometry-optimized PrF3 structure (r²SCAN).

The calculation puts the formation energy at -4.437 eV per atom.

The structure belongs to space group P-3c1 (No. 165); the cell edges are 7.0640, 7.0640 and 7.2675 Å and the angles 90.00°, 90.00° and 120.00°. The inequivalent atoms are Pr at (0.0000, 0.3433, 0.2500), F at (0.0000, 0.0000, 0.2500), F at (0.0588, 0.3700, 0.9184) and F at (0.3333, 0.6667, 0.1796).

***

(10)
Entry from the Materials Project: a geometry-optimized PrZr2F11 structure (r²SCAN).

The calculation puts the formation energy at -4.134 eV per atom.

The structure belongs to space group Ibam (No. 72); the cell edges are 7.796, 10.094 and 10.985 Å and the angles 90.00°, 90.00° and 90.00°. The inequivalent atoms are Pr at (0.000, 0.000, 0.250), Zr at (0.133, 0.319, 0.000), F at (0.000, 0.500, 0.000), F at (0.103, 0.185, 0.137), F at (0.130, 0.281, 0.500) and F at (0.236, 0.077, 0.371).

***

(11)
Entry from the Materials Project: a geometry-optimized PrZr3F15 structure (r²SCAN).

The calculation puts the formation energy at -4.098 eV per atom.

The structure belongs to space group R3m (No. 160, hexagonal axes); the cell edges are 12.3390, 12.3390 and 6.1759 Å and the angles 90.00°, 90.00° and 120.00°. The inequivalent atoms are Pr at (0.0000, 0.0000, 0.0000), Zr at (0.1894, 0.3788, 0.1726), F at (0.0386, 0.2915, 0.3968), F at (0.1066, 0.5533, 0.6546), F at (0.1484, 0.0742, 0.7163) and F at (0.1585, 0.0793, 0.2657).

***

(12)
Entry from the Materials Project: a geometry-optimized PrZr3F15 structure (r²SCAN).

The calculation puts the formation energy at -4.096 eV per atom.

The structure belongs to space group C2/c (No. 15); the cell edges are 10.639, 12.529 and 8.206 Å and the angles 90.00°, 106.12° and 90.00°. The inequivalent atoms are Pr at (0.000, 0.177, 0.250), Zr at (0.000, 0.244, 0.750), Zr at (0.208, 0.470, 0.326), F at (0.000, 0.469, 0.250), F at (0.026, 0.259, 0.999), F at (0.133, 0.065, 0.143), F at (0.138, 0.363, 0.778), F at (0.139, 0.131, 0.776), F at (0.155, 0.099, 0.475), F at (0.156, 0.315, 0.316) and F at (0.165, 0.483, 0.056).

***

(13)
Entry from the Materials Project: a geometry-optimized PtF5 structure (r²SCAN).

The calculation puts the formation energy at -1.241 eV per atom.

The structure belongs to space group P2_1/c (No. 14); the cell edges are 5.357, 9.745 and 12.189 Å and the angles 90.00°, 99.58° and 90.00°. The inequivalent atoms are Pt at (0.001, 0.248, 0.000), Pt at (0.306, 0.000, 0.702), F at (0.015, 0.574, 0.246), F at (0.099, 0.671, 0.642), F at (0.106, 0.170, 0.655), F at (0.190, 0.094, 0.047), F at (0.202, 0.582, 0.048), F at (0.279, 0.165, 0.454), F at (0.290, 0.677, 0.454), F at (0.400, 0.081, 0.843), F at (0.413, 0.581, 0.846) and F at (0.492, 0.656, 0.248).

***

(14)
Entry from the Materials Project: a geometry-optimized Rb2PtF6 structure (r²SCAN).

The calculation puts the formation energy at -2.349 eV per atom.

The structure belongs to space group P-3m1 (No. 164); the cell edges are 5.9250, 5.9250 and 4.7658 Å and the angles 90.00°, 90.00° and 120.00°. The inequivalent atoms are Rb at (0.3333, 0.6667, 0.2110), Pt at (0.0000, 0.0000, 0.5000) and F at (0.1602, 0.3205, 0.7228).

***

(15)
Entry from the Materials Project: a geometry-optimized TbPtF7 structure (r²SCAN).

The calculation puts the formation energy at -2.818 eV per atom.

The structure belongs to space group P2_1/c (No. 14); the cell edges are 8.822, 5.447 and 11.894 Å and the angles 90.00°, 117.88° and 90.00°. The inequivalent atoms are Tb at (0.187, 0.239, 0.265), Pt at (0.272, 0.743, 0.043), F at (0.023, 0.744, 0.949), F at (0.035, 0.597, 0.731), F at (0.256, 0.558, 0.177), F at (0.275, 0.041, 0.134), F at (0.278, 0.063, 0.459), F at (0.294, 0.565, 0.413) and F at (0.479, 0.229, 0.359).